Entry from the Materials Project database: a relaxed KLaFeSnO6 crystal (PBE with a Hubbard U).

The structure belongs to space group F-43m (No. 216); the cell edges are 8.024, 8.024 and 8.024 Å and the angles 90.00°, 90.00° and 90.00°. The inequivalent atoms are K at (0.000, 0.000, 0.000), La at (0.000, 0.000, 0.500), Fe at (0.250, 0.250, 0.250), Sn at (0.250, 0.250, 0.750) and O at (0.006, 0.250, 0.250).

The MP2020-corrected energy comes out at -7.041 eV per atom. For the energy of formation, the calculation gives -2.22 eV/atom. The total energy is -6.40 eV per atom.